This record from Materials Project describes a relaxed structure of Cu3GeP2O10. The functional is PBE.

Structure (extended XYZ):
```
32
Lattice="4.693 0.000 0.000 0.000 8.400 0.000 -2.320 0.000 9.378" Properties=species:S:1:pos:R:3 pbc="T T T"
Cu 0.000 0.000 0.000
Cu 0.000 4.200 0.000
Cu -0.526 0.543 3.137
Cu -0.526 3.657 3.137
Cu 2.899 4.743 6.241
Cu 2.899 7.857 6.241
Ge -0.426 2.100 7.716
Ge 2.799 6.300 1.662
P 0.838 6.300 4.280
P 2.042 2.100 1.238
P 0.331 6.300 8.140
P 1.535 2.100 5.098
O -1.378 0.626 7.747
O -1.378 3.574 7.747
O -0.752 6.300 7.033
O -0.016 5.030 4.403
O -0.016 7.570 4.403
O 0.422 2.100 4.012
O 1.191 0.824 1.305
O 1.191 3.376 1.305
O 1.814 6.300 0.135
O 1.520 6.300 2.863
O 0.853 2.100 6.515
O 0.559 2.100 9.244
O 1.182 5.024 8.073
O 1.182 7.576 8.073
O 1.951 6.300 5.366
O 2.389 0.830 4.975
O 2.389 3.370 4.975
O 3.125 2.100 2.345
O 3.751 4.826 1.631
O 3.751 7.774 1.631
```

Values from the calculation:
- ΔE_f (meV per atom) = -1898
- electronic total energy (hartree per atom) = -0.231
- M_tot (μB per cell) = 2.00